Record 1
! Co2Mo3, optimized geometry, DFT GGA-PBE; values from VASP
! Calculated total energy ... -9.151 eV per atom
! Distance to the lowest polymorph of the same formula ... 0.00 eV per formula unit
! Size of the total moment ... 0.001 μB per atom
&SYSTEM
  ibrav = 0, nat = 10, ntyp = 2
/
ATOMIC_SPECIES
Co 58.93 Co.upf
Mo 95.94 Mo.upf
CELL_PARAMETERS angstrom
4.831 0.000 0.000
0.000 4.298 0.000
-2.114 0.000 6.692
ATOMIC_POSITIONS crystal
Co 0.124 0.250 0.091
Co 0.328 0.250 0.482
Co 0.672 0.750 0.518
Co 0.876 0.750 0.909
Mo 0.066 0.750 0.328
Mo 0.276 0.750 0.721
Mo 0.423 0.750 0.112
Mo 0.577 0.250 0.888
Mo 0.724 0.250 0.279
Mo 0.934 0.250 0.672



Record 2
! Co2Mo3, optimized geometry, DFT GGA-PBE; values from VASP
! Calculated total energy ... -8.868 eV per atom
! Distance to the lowest polymorph of the same formula ... 1.41 eV per formula unit
! Size of the total moment ... 0.190 μB per atom
&SYSTEM
  ibrav = 0, nat = 20, ntyp = 2
/
ATOMIC_SPECIES
Co 58.93 Co.upf
Mo 95.94 Mo.upf
CELL_PARAMETERS angstrom
4.187 0.000 0.000
0.000 6.874 0.000
0.000 0.000 9.917
ATOMIC_POSITIONS crystal
Co 0.248 0.089 0.040
Co 0.248 0.411 0.040
Co 0.252 0.589 0.540
Co 0.252 0.911 0.540
Co 0.748 0.089 0.460
Co 0.748 0.411 0.460
Co 0.752 0.589 0.960
Co 0.752 0.911 0.960
Mo 0.247 0.049 0.323
Mo 0.247 0.451 0.323
Mo 0.248 0.750 0.124
Mo 0.252 0.250 0.624
Mo 0.253 0.549 0.823
Mo 0.253 0.951 0.823
Mo 0.747 0.049 0.177
Mo 0.747 0.451 0.177
Mo 0.748 0.750 0.376
Mo 0.752 0.250 0.876
Mo 0.753 0.549 0.677
Mo 0.753 0.951 0.677



Record 3
! Co3Mo, optimized geometry, DFT GGA-PBE; values from VASP
! Calculated total energy ... -7.757 eV per atom
! Size of the total moment ... 0.000 μB per atom
&SYSTEM
  ibrav = 0, nat = 4, ntyp = 2
/
ATOMIC_SPECIES
Co 58.93 Co.upf
Mo 95.94 Mo.upf
CELL_PARAMETERS angstrom
8.239 0.000 0.000
0.000 1.316 2.273
0.000 -1.316 2.273
ATOMIC_POSITIONS crystal
Co 0.000 0.000 0.000
Co 0.236 0.666 0.666
Co 0.764 0.666 0.666
Mo 0.500 0.000 0.000



What is the formula in the second record?
Co2Mo3



Which value of calculated total energy does entry 1 give?
-9.151 eV per atom